(1)
Ba5Al2In2IrClO13: relaxed, GGA-PBE.

Theoretical density (g/cm³): 5.974
Formation enthalpy at 0 K (meV per atom): -2674

a b c (Å): 5.943 5.943 25.553
angles (deg): 90.00 90.00 120.00
Atoms (fractional coordinates):
Ba: 0.000 0.000 0.250
Ba: 0.000 0.000 0.750
Ba: 0.333 0.667 0.040
Ba: 0.333 0.667 0.460
Ba: 0.333 0.667 0.632
Ba: 0.333 0.667 0.868
Ba: 0.667 0.333 0.132
Ba: 0.667 0.333 0.368
Ba: 0.667 0.333 0.540
Ba: 0.667 0.333 0.960
Al: 0.333 0.667 0.182
Al: 0.333 0.667 0.318
Al: 0.667 0.333 0.682
Al: 0.667 0.333 0.818
In: 0.000 0.000 0.113
In: 0.000 0.000 0.387
In: 0.000 0.000 0.613
In: 0.000 0.000 0.887
Ir: 0.000 0.000 0.000
Ir: 0.000 0.000 0.500
Cl: 0.333 0.667 0.750
Cl: 0.667 0.333 0.250
O: 0.155 0.309 0.548
O: 0.155 0.309 0.952
O: 0.155 0.845 0.548
O: 0.155 0.845 0.952
O: 0.173 0.347 0.156
O: 0.173 0.347 0.344
O: 0.173 0.827 0.156
O: 0.173 0.827 0.344
O: 0.309 0.155 0.048
O: 0.309 0.155 0.452
O: 0.333 0.667 0.250
O: 0.347 0.173 0.656
O: 0.347 0.173 0.844
O: 0.653 0.827 0.156
O: 0.653 0.827 0.344
O: 0.667 0.333 0.750
O: 0.691 0.845 0.548
O: 0.691 0.845 0.952
O: 0.827 0.173 0.656
O: 0.827 0.173 0.844
O: 0.827 0.653 0.656
O: 0.827 0.653 0.844
O: 0.845 0.155 0.048
O: 0.845 0.155 0.452
O: 0.845 0.691 0.048
O: 0.845 0.691 0.452

(2)
Ba5Al3Cu2: relaxed, GGA-PBE.

Theoretical density (g/cm³): 4.207
Formation enthalpy at 0 K (meV per atom): 109

a b c (Å): 13.191 13.191 13.191
angles (deg): 24.73 24.73 24.73
Atoms (fractional coordinates):
Ba: 0.000 0.000 0.000
Ba: 0.094 0.094 0.094
Ba: 0.267 0.267 0.267
Ba: 0.461 0.461 0.461
Ba: 0.564 0.564 0.564
Al: 0.015 0.015 0.513
Al: 0.015 0.513 0.015
Al: 0.513 0.015 0.015
Cu: 0.732 0.732 0.732
Cu: 0.902 0.902 0.902

(3)
Ba2AlCu2F11: relaxed, GGA-PBE.

Theoretical density (g/cm³): 4.642
Formation enthalpy at 0 K (meV per atom): -3243

a b c (Å): 7.414 7.414 14.377
angles (deg): 90.00 90.00 120.00
Atoms (fractional coordinates):
Ba: 0.145 0.015 0.000
Ba: 0.506 0.162 0.467
Ba: 0.656 0.494 0.801
Ba: 0.838 0.344 0.134
Ba: 0.870 0.855 0.333
Ba: 0.985 0.130 0.667
Al: 0.173 0.499 0.872
Al: 0.326 0.827 0.205
Al: 0.501 0.674 0.539
Cu: 0.125 0.435 0.389
Cu: 0.310 0.875 0.722
Cu: 0.338 0.318 0.224
Cu: 0.565 0.690 0.056
Cu: 0.682 0.020 0.891
Cu: 0.980 0.662 0.557
F: 0.015 0.758 0.689
F: 0.056 0.762 0.178
F: 0.057 0.145 0.182
F: 0.068 0.375 0.982
F: 0.088 0.943 0.515
F: 0.124 0.712 0.888
F: 0.210 0.556 0.243
F: 0.238 0.294 0.845
F: 0.242 0.257 0.355
F: 0.266 0.599 0.752
F: 0.288 0.411 0.555
F: 0.307 0.932 0.315
F: 0.333 0.734 0.085
F: 0.346 0.790 0.576
F: 0.362 0.146 0.688
F: 0.401 0.667 0.418
F: 0.412 0.405 0.094
F: 0.424 0.082 0.150
F: 0.444 0.654 0.909
F: 0.539 0.162 0.929
F: 0.589 0.876 0.221
F: 0.595 0.007 0.760
F: 0.623 0.461 0.262
F: 0.625 0.693 0.648
F: 0.658 0.576 0.484
F: 0.706 0.944 0.512
F: 0.743 0.985 0.022
F: 0.783 0.638 0.021
F: 0.838 0.377 0.595
F: 0.854 0.217 0.354
F: 0.855 0.912 0.848
F: 0.918 0.342 0.817
F: 0.993 0.588 0.427

(4)
Ba3Al2Cu2F16: relaxed, GGA-PBE.

Theoretical density (g/cm³): 4.567
Formation enthalpy at 0 K (meV per atom): -3484

a b c (Å): 7.495 5.395 16.244
angles (deg): 90.00 96.69 90.00
Atoms (fractional coordinates):
Ba: 0.162 0.000 0.115
Ba: 0.253 0.930 0.530
Ba: 0.308 0.982 0.815
Ba: 0.692 0.482 0.185
Ba: 0.747 0.430 0.470
Ba: 0.838 0.500 0.885
Al: 0.079 0.420 0.660
Al: 0.331 0.475 0.975
Al: 0.669 0.975 0.025
Al: 0.921 0.920 0.340
Cu: 0.216 0.453 0.304
Cu: 0.437 0.930 0.330
Cu: 0.563 0.430 0.670
Cu: 0.784 0.953 0.696
F: 0.035 0.615 0.365
F: 0.053 0.370 0.209
F: 0.059 0.371 0.768
F: 0.100 0.440 0.547
F: 0.137 0.072 0.363
F: 0.146 0.264 0.947
F: 0.184 0.739 0.956
F: 0.207 0.702 0.677
F: 0.290 0.237 0.671
F: 0.301 0.461 0.083
F: 0.367 0.752 0.230
F: 0.390 0.609 0.389
F: 0.400 0.488 0.873
F: 0.406 0.241 0.264
F: 0.473 0.184 0.992
F: 0.500 0.081 0.433
F: 0.500 0.581 0.567
F: 0.527 0.684 0.008
F: 0.594 0.741 0.736
F: 0.600 0.988 0.127
F: 0.610 0.109 0.611
F: 0.633 0.252 0.770
F: 0.699 0.961 0.917
F: 0.710 0.737 0.329
F: 0.793 0.202 0.323
F: 0.816 0.239 0.044
F: 0.854 0.764 0.053
F: 0.863 0.572 0.637
F: 0.900 0.940 0.453
F: 0.941 0.871 0.232
F: 0.947 0.870 0.791
F: 0.965 0.115 0.635